No. 1
The following is a DFT calculation (PBE) of a geometry-optimized CdH2SeO4 structure.

abc: 5.119 6.045 13.432
angles: 90.00 90.00 90.00
Fractional coordinates of all 32 atoms:
O  0.357  0.032  0.659
Cd  0.598  0.750  0.728
O  0.357  0.468  0.659
H  0.037  0.621  0.611
H  0.463  0.621  0.111
H  0.963  0.121  0.389
O  0.143  0.032  0.159
Se  0.510  0.250  0.593
Se  0.010  0.750  0.907
Cd  0.402  0.250  0.272
O  0.579  0.750  0.102
Cd  0.902  0.750  0.228
H  0.037  0.879  0.611
O  0.079  0.250  0.398
Cd  0.098  0.250  0.772
O  0.857  0.968  0.841
O  0.643  0.532  0.341
H  0.537  0.121  0.889
O  0.857  0.532  0.841
O  0.921  0.750  0.602
O  0.179  0.750  0.365
H  0.537  0.379  0.889
O  0.321  0.750  0.865
Se  0.490  0.750  0.407
O  0.421  0.250  0.898
H  0.963  0.379  0.389
O  0.679  0.250  0.135
H  0.463  0.879  0.111
O  0.143  0.468  0.159
O  0.821  0.250  0.635
O  0.643  0.968  0.341
Se  0.990  0.250  0.093

Properties
**Crystal system**: orthorhombic
**Total DFT energy (no corrections)**: -4.880 eV per atom
**Space group**: Pnma



No. 2
The following is a DFT calculation (PBE) of a geometry-optimized HfCd structure.

abc: 2.915 2.915 11.859
angles: 90.00 90.00 90.00
Fractional coordinates of all 4 atoms:
Hf  0.500  0.500  0.623
Hf  0.500  0.500  0.377
Cd  0.500  0.500  0.124
Cd  0.500  0.500  0.876

Properties
**Crystal system**: tetragonal
**Total DFT energy (no corrections)**: -4.790 eV per atom
**Space group**: P4/mmm



No. 3
The following is a DFT calculation (PBE) of a geometry-optimized HfCd structure.

abc: 3.088 3.088 9.169
angles: 90.00 90.00 90.00
Fractional coordinates of all 4 atoms:
Cd  0.500  0.000  0.624
Hf  0.500  0.000  0.117
Cd  0.000  0.500  0.376
Hf  0.000  0.500  0.883

Properties
**Crystal system**: tetragonal
**Total DFT energy (no corrections)**: -5.509 eV per atom
**Space group**: P4/nmm



- The highest total DFT energy (no corrections) belongs to which entry?
  number 2